# Na3YN2

A geometry-optimized Na3YN2 structure (GGA-PBE, the Materials Project).

Summary:
- Energy of formation: -0.3885 eV/atom
- Energy above the most stable polymorph in this dataset: 0.106 eV per atom
- E (MP2020): -0.18030 hartree per atom
- Space group: P2_1/c
- Calculated total energy: -4.79 eV/atom

Unit cell a=7.260 b=12.412 c=6.565 alpha=90.00 beta=114.67 gamma=90.00
Positions (direct):
Na  0.036  0.189  0.217
Na  0.036  0.311  0.717
Na  0.222  0.073  0.684
Na  0.222  0.427  0.184
Na  0.327  0.537  0.777
Na  0.327  0.963  0.277
Na  0.673  0.037  0.723
Na  0.673  0.463  0.223
Na  0.778  0.573  0.816
Na  0.778  0.927  0.316
Na  0.964  0.689  0.283
Na  0.964  0.811  0.783
Y  0.481  0.701  0.278
Y  0.481  0.799  0.778
Y  0.519  0.201  0.222
Y  0.519  0.299  0.722
N  0.393  0.167  0.468
N  0.393  0.333  0.968
N  0.481  0.546  0.451
N  0.481  0.954  0.951
N  0.519  0.046  0.049
N  0.519  0.454  0.549
N  0.607  0.667  0.032
N  0.607  0.833  0.532